1.
Na2AlSnP3O12 | PBE-GGA | relaxed

ΔE_f in meV/atom: -2701

The structure in extended XYZ format:
```
114
Lattice="8.689 -0.027 0.007 -4.368 7.511 -0.007 0.017 -0.010 22.147" Properties=species:S:1:pos:R:3 pbc="T T T"
P 5.587 0.289 1.863
P 5.582 5.280 16.625
P 6.872 2.496 12.936
P 1.292 7.133 9.272
P 2.530 0.014 5.552
P 3.010 4.631 12.972
P 1.240 2.798 9.241
P -1.337 7.141 20.350
P -1.203 2.793 20.346
P 7.356 2.122 5.594
P 1.313 2.132 16.657
P 2.526 5.005 20.314
P 6.170 0.047 16.667
P 5.638 4.624 1.894
P 3.122 5.285 5.583
P -2.540 5.076 9.276
P 1.806 2.566 1.898
P 3.144 0.284 12.968
O 0.541 6.409 1.677
O 0.615 6.635 7.981
O 4.962 4.126 0.603
O -1.524 4.829 1.697
O -1.655 5.240 10.527
O 3.215 6.120 4.292
O 7.124 0.140 1.963
O -2.629 7.254 4.227
O -0.616 6.384 12.770
O 0.554 3.492 10.437
O 3.754 0.982 14.179
O -0.592 3.491 21.557
O 1.582 5.252 21.511
O 7.657 1.272 6.844
O 2.778 2.650 9.341
O -2.847 7.283 20.126
O 5.339 3.746 3.105
O 3.423 3.748 20.415
O 0.992 6.255 10.483
O 5.031 6.077 1.983
O 5.924 2.565 20.442
O 3.730 1.047 20.448
O 0.562 1.408 9.062
O 5.292 1.283 16.443
O 3.391 6.288 20.135
O 3.764 4.100 11.719
O 3.396 1.296 5.373
O -0.583 6.610 19.097
O -1.110 3.628 19.055
O 3.237 1.118 11.677
O 0.924 6.244 16.752
O 1.734 4.734 18.996
O -0.578 1.618 4.335
O 4.901 0.983 3.059
O 3.733 5.983 6.794
O 1.014 1.254 17.868
O 2.818 7.311 9.081
O 7.056 0.211 17.918
O 0.928 1.253 1.990
O -3.419 6.312 9.052
O 3.731 3.874 5.392
O 2.839 2.310 16.466
O 0.928 3.803 1.674
O 5.426 1.110 0.545
O -1.036 6.291 21.600
O 1.560 5.084 5.672
O 1.079 3.619 7.923
O -0.941 6.267 5.645
O 4.896 5.974 17.822
O 1.586 0.261 6.748
O -1.569 5.159 16.719
O 2.692 2.730 3.149
O 0.706 3.585 16.746
O 3.310 3.782 14.222
O 5.053 1.076 9.368
O 4.904 3.890 16.446
O -1.703 4.688 8.024
O 5.846 2.264 5.370
O 3.708 6.048 13.063
O 5.270 3.735 9.374
O 0.637 1.634 15.366
O 7.770 1.238 13.037
O -0.634 3.566 5.679
O -0.594 1.383 20.155
O -0.951 3.806 12.751
O 5.928 2.743 14.133
O 6.081 2.225 11.618
O 2.643 2.178 0.646
O 1.582 0.083 13.057
O 2.639 7.170 15.408
O -3.268 6.129 15.301
O 1.500 4.773 12.748
Na 7.119 2.240 9.212
Na -2.762 5.222 12.895
Na 1.584 2.713 5.517
Na -1.592 7.269 1.821
Na 2.772 4.750 16.590
Na -4.356 7.502 11.017
Na 4.347 2.481 7.334
Na 0.001 4.991 14.712
Na 5.948 0.193 20.286
Na -4.346 7.500 22.090
Na 4.354 2.473 18.408
Na -0.010 4.992 3.639
Al 4.343 7.431 7.816
Al 0.001 4.949 0.431
Al 0.044 5.003 11.505
Al 4.390 2.494 4.127
Al 4.364 2.429 15.200
Al 0.065 0.002 18.889
Sn -0.048 4.980 18.051
Sn 4.299 2.471 10.673
Sn 4.277 7.472 3.288
Sn -0.003 0.038 14.362
Sn -0.025 5.039 6.977
Sn 4.339 2.520 21.746
```


2.
ZrAlRh | PBE-GGA | relaxed

Space group: Amm2, No. 38
ΔE_f in meV/atom: -769

The structure in extended XYZ format:
```
12
Lattice="8.281 0.000 0.000 0.000 2.694 4.605 0.000 -2.694 4.605" Properties=species:S:1:pos:R:3 pbc="T T T"
Zr 1.479 0.000 0.000
Zr 2.406 0.000 3.084
Zr 5.874 0.000 3.084
Zr 6.801 0.000 0.000
Al 2.022 0.000 6.207
Al 4.140 -1.388 5.346
Al 4.140 1.388 5.346
Al 6.258 0.000 6.207
Rh 0.000 -1.329 2.342
Rh 0.000 1.329 2.342
Rh 0.000 0.000 4.637
Rh 4.140 0.000 7.714
```


3.
Li2SiSnCO7 | PBE-GGA | relaxed

Space group: P2_1/m, No. 11
ΔE_f in meV/atom: -2384

The structure in extended XYZ format:
```
24
Lattice="5.114 0.000 0.000 0.000 6.568 0.000 -0.327 0.000 8.661" Properties=species:S:1:pos:R:3 pbc="T T T"
Li 1.034 0.017 2.451
Li 1.034 3.267 2.451
Li 3.753 3.301 6.210
Li 3.753 6.551 6.210
Si 1.167 4.926 7.967
Si 3.619 1.642 0.694
Sn 0.772 1.642 7.394
Sn 4.015 4.926 1.267
C 1.177 1.642 4.800
C 3.609 4.926 3.861
O -0.033 1.642 5.311
O 0.619 3.637 7.133
O 0.619 6.215 7.133
O 0.929 4.926 0.861
O 1.414 1.642 3.562
O 1.965 1.642 0.573
O 2.157 1.642 5.709
O 2.629 4.926 2.952
O 2.821 4.926 8.089
O 3.373 4.926 5.100
O 3.858 1.642 7.801
O 4.168 0.353 1.529
O 4.168 2.931 1.529
O 4.820 4.926 3.350
```


4.
ErSi3Rh5 | PBE-GGA | relaxed

Space group: P6_3/m, No. 176
ΔE_f in meV/atom: -960

The structure in extended XYZ format:
```
54
Lattice="15.625 0.000 0.000 -7.812 13.531 0.000 0.000 0.000 3.875" Properties=species:S:1:pos:R:3 pbc="T T T"
Er -3.950 9.550 0.969
Er 1.517 5.335 0.969
Er 5.379 1.354 2.906
Er 2.434 12.177 0.969
Er 6.296 8.196 2.906
Er 11.763 3.981 2.906
Si -2.415 5.846 0.969
Si -4.925 11.754 2.906
Si 0.096 3.389 2.906
Si -1.583 9.219 2.906
Si 2.982 1.612 0.969
Si 0.620 7.551 2.906
Si -1.542 12.700 0.969
Si 3.855 5.014 2.906
Si 0.963 10.293 2.906
Si 6.849 3.239 0.969
Si 3.957 8.517 0.969
Si 9.355 0.832 2.906
Si 7.192 5.980 0.969
Si 4.830 11.920 2.906
Si 9.395 4.313 0.969
Si 7.717 10.143 0.969
Si 12.738 1.777 0.969
Si 10.227 7.686 2.906
Rh -6.493 12.010 0.969
Rh -1.429 3.667 0.969
Rh -3.036 7.291 2.906
Rh 0.658 1.904 0.969
Rh 1.978 0.382 2.906
Rh -0.832 5.604 2.906
Rh -0.970 7.726 0.969
Rh -3.923 12.935 0.969
Rh -2.543 11.450 2.906
Rh 2.461 3.071 2.906
Rh -0.637 10.508 0.969
Rh 4.437 3.523 0.969
Rh 1.606 8.828 0.969
Rh 3.016 7.257 2.906
Rh 0.020 12.515 2.906
Rh 7.792 1.016 0.969
Rh 4.796 6.275 0.969
Rh 6.206 4.703 2.906
Rh 3.375 10.009 2.906
Rh 8.449 3.023 2.906
Rh 5.351 10.461 0.969
Rh 10.355 2.082 0.969
Rh 11.735 0.596 2.906
Rh 8.782 5.805 2.906
Rh 8.644 7.927 0.969
Rh 5.835 13.149 0.969
Rh 7.154 11.628 2.906
Rh 10.848 6.240 0.969
Rh 9.241 9.865 2.906
Rh 14.305 1.522 2.906
```